1.
Here is an optimized crystal structure of Na2Ti9O19 from the Materials Project. Energies are from PBE.

Computed properties:
Formation energy from the elements ... -100.2 eV per formula unit
Uncorrected energy ... -254.828 eV per formula unit

Lattice parameters (Å, degrees): 6.434 6.434 15.798 104.06 104.06 34.43
Atoms (fractional coordinates):
Na: 0.177 0.177 0.492
Na: 0.823 0.823 0.508
Ti: 0.288 0.288 0.293
Ti: 0.313 0.313 0.882
Ti: 0.392 0.392 0.118
Ti: 0.415 0.415 0.705
Ti: 0.500 0.500 0.500
Ti: 0.585 0.585 0.295
Ti: 0.608 0.608 0.882
Ti: 0.687 0.687 0.118
Ti: 0.712 0.712 0.707
O: 0.000 0.000 0.500
O: 0.124 0.124 0.294
O: 0.148 0.148 0.883
O: 0.228 0.228 0.142
O: 0.251 0.251 0.731
O: 0.348 0.348 0.410
O: 0.374 0.374 0.998
O: 0.400 0.400 0.585
O: 0.427 0.427 0.258
O: 0.451 0.451 0.847
O: 0.549 0.549 0.153
O: 0.573 0.573 0.742
O: 0.600 0.600 0.415
O: 0.626 0.626 0.002
O: 0.652 0.652 0.590
O: 0.749 0.749 0.269
O: 0.772 0.772 0.858
O: 0.852 0.852 0.117
O: 0.876 0.876 0.706



2.
Here is an optimized crystal structure of Cs2RbInCl6 from the Materials Project. Energies are from PBE.

Computed properties:
Formation energy from the elements ... -20.3 eV per formula unit
Uncorrected energy ... -33.231 eV per formula unit

Lattice parameters (Å, degrees): 8.037 8.037 8.037 60.00 60.00 60.00
Atoms (fractional coordinates):
Cs: 0.250 0.250 0.250
Cs: 0.750 0.750 0.750
Rb: 0.000 0.000 0.000
In: 0.500 0.500 0.500
Cl: 0.276 0.276 0.724
Cl: 0.276 0.724 0.276
Cl: 0.276 0.724 0.724
Cl: 0.724 0.276 0.276
Cl: 0.724 0.276 0.724
Cl: 0.724 0.724 0.276



3.
Here is an optimized crystal structure of Na3Ca from the Materials Project. Energies are from PBE.

Computed properties:
Formation energy from the elements ... 0.4 eV per formula unit
Uncorrected energy ... -5.618 eV per formula unit

Lattice parameters (Å, degrees): 5.355 5.355 5.355 90.00 90.00 90.00
Atoms (fractional coordinates):
Na: 0.000 0.000 0.500
Na: 0.000 0.500 0.000
Na: 0.500 0.000 0.000
Ca: 0.500 0.500 0.500